No. 1
First-principles (PBE) data for a relaxed structure of BaMgF4, as listed in the Materials Project.

Structure (POSCAR):
```
BaMgF4
1.0
2.106 -7.219 0.000
2.106 7.219 0.000
0.000 0.000 5.841
Ba Mg F
2 2 8
Cartesian
2.106 5.169 4.381 Ba
2.106 -5.169 1.460 Ba
2.106 1.326 4.381 Mg
2.106 -1.326 1.460 Mg
2.106 6.035 1.460 F
2.106 2.699 2.978 F
2.106 2.699 5.784 F
2.106 0.000 0.000 F
2.106 0.000 2.921 F
2.106 -2.699 0.057 F
2.106 -2.699 2.863 F
2.106 -6.035 4.381 F
```

No. 2
First-principles (PBE) data for a relaxed structure of BaMgSnF7, as listed in the Materials Project.

Structure (POSCAR):
```
BaMgSnF7
1.0
5.802 0.000 0.000
0.000 10.370 0.000
-0.463 0.000 9.957
Ba Mg Sn F
4 4 4 28
Cartesian
1.325 1.802 0.047 Ba
1.093 3.383 5.025 Ba
4.245 6.987 4.932 Ba
4.014 8.568 9.910 Ba
0.753 6.336 8.034 Mg
0.985 9.219 3.056 Mg
4.354 1.151 6.901 Mg
4.585 4.034 1.923 Mg
1.665 6.224 1.818 Sn
1.433 9.331 6.796 Sn
3.905 1.039 3.161 Sn
3.674 4.146 8.139 Sn
-0.025 7.492 2.454 F
-0.257 8.064 7.433 F
0.244 5.561 6.318 F
0.476 9.995 1.340 F
0.387 0.756 6.143 F
0.619 4.429 1.165 F
1.040 7.269 9.844 F
1.271 8.286 4.865 F
1.893 0.508 3.731 F
1.661 4.677 8.709 F
2.174 5.601 3.776 F
1.943 9.954 8.754 F
2.394 7.410 7.416 F
2.626 8.146 2.438 F
2.713 2.225 7.519 F
2.945 2.960 2.541 F
3.396 0.416 1.203 F
3.165 4.769 6.182 F
3.678 5.693 1.248 F
3.446 9.862 6.226 F
4.068 2.084 5.092 F
4.299 3.101 0.114 F
4.720 5.941 8.792 F
4.952 9.614 3.814 F
4.863 0.375 8.617 F
5.095 4.810 3.639 F
5.596 2.306 2.524 F
5.364 2.879 7.503 F
```

Number 1: ΔH_f (0 K) -3975 meV/atom, DFT total energy -5.5299 eV/atom. Number 2: ΔH_f (0 K) -3403 meV/atom, DFT total energy -5.1729 eV/atom.